The following is a DFT calculation (PBE-GGA) of CsZr2P3O12 after structural relaxation.

The structure in extended XYZ format:
```
36
Lattice="4.383 2.530 8.386 -4.383 2.530 8.386 0.000 -5.061 8.386" Properties=species:S:1:pos:R:3 pbc="T T T"
Cs 0.000 0.000 0.000
Cs 0.000 0.000 12.579
Zr 0.000 0.000 3.829
Zr 0.000 0.000 8.750
Zr 0.000 0.000 16.409
Zr 0.000 0.000 21.330
P -3.141 -0.380 10.483
P -1.242 -2.910 14.676
P 1.899 -2.530 10.483
P -1.899 2.530 14.676
P 1.242 2.910 10.483
P 3.141 0.380 14.676
O -3.177 -1.348 11.687
O -3.719 0.980 10.946
O -2.708 -2.731 14.213
O -0.421 -1.635 7.494
O -1.674 -0.200 10.020
O -1.206 1.182 7.494
O -0.421 -3.425 13.472
O 1.011 -3.711 10.946
O -2.756 2.077 13.472
O -0.663 -1.550 15.139
O 1.011 -1.350 10.020
O -1.627 -0.453 17.665
O 1.627 0.453 7.494
O -1.011 1.350 15.139
O 0.663 1.550 10.020
O 2.756 -2.077 11.687
O -1.011 3.711 14.213
O 0.421 3.425 11.687
O 1.206 -1.182 17.665
O 1.674 0.200 15.139
O 0.421 1.635 17.665
O 2.708 2.731 10.946
O 3.719 -0.980 14.213
O 3.177 1.348 13.472
```

Values from the calculation:
Calculated formation energy (meV per atom): -3181